Arrangement i

First-principles (PBE with a Hubbard U) data for an optimized crystal structure of Ba3MgNb2CoO9, as listed in Materials Project.

```
data_Ba3MgNb2CoO9
_cell_length_a 5.917
_cell_length_b 6.192
_cell_length_c 7.491
_cell_angle_alpha 84.97
_cell_angle_beta 89.94
_cell_angle_gamma 61.52
_symmetry_space_group_name_H-M 'P 1'
_symmetry_Int_Tables_number 1
_symmetry_space_group_name_Hall 'P 1'
loop_
_atom_site_label
_atom_site_type_symbol
_atom_site_fract_x
_atom_site_fract_y
_atom_site_fract_z
Ba1 Ba 0.000 0.000 0.000
Ba2 Ba 0.280 0.440 0.713
Ba3 Ba 0.577 0.845 0.423
Mg1 Mg 0.779 0.448 0.189
Nb1 Nb 0.288 0.429 0.199
Nb2 Nb 0.946 0.110 0.546
Co1 Co 0.615 0.773 0.859
O1 O 0.096 0.281 0.361
O2 O 0.116 0.771 0.372
O3 O 0.272 0.944 0.694
O4 O 0.429 0.149 0.060
O5 O 0.456 0.600 0.045
O6 O 0.627 0.281 0.360
O7 O 0.785 0.944 0.693
O8 O 0.801 0.400 0.677
O9 O 0.950 0.598 0.043
```


Arrangement ii

First-principles (PBE with a Hubbard U) data for an optimized crystal structure of Ba3MgNb2CoO9, as listed in Materials Project.

```
data_Ba3MgNb2CoO9
_cell_length_a 10.544
_cell_length_b 5.970
_cell_length_c 7.576
_cell_angle_alpha 90.00
_cell_angle_beta 97.75
_cell_angle_gamma 90.00
_symmetry_space_group_name_H-M 'C 1 m 1'
_symmetry_Int_Tables_number 8
_symmetry_space_group_name_Hall 'C -2y'
loop_
_atom_site_label
_atom_site_type_symbol
_atom_site_fract_x
_atom_site_fract_y
_atom_site_fract_z
Ba1 Ba 0.000 0.000 0.000
Ba2 Ba 0.122 0.500 0.716
Ba3 Ba 0.364 0.000 0.317
Mg1 Mg 0.068 0.000 0.452
Nb1 Nb 0.186 0.500 0.183
Nb2 Nb 0.317 0.000 0.851
Co1 Co 0.363 0.500 0.566
O1 O 0.005 0.500 0.029
O2 O 0.130 0.262 0.339
O3 O 0.150 0.000 0.703
O4 O 0.250 0.250 0.016
O5 O 0.376 0.500 0.311
O6 O 0.392 0.235 0.709
```


Q: Which of them is the least stable? A: arrangement i.


Arrangement i

First-principles (PBE with a Hubbard U) data for an optimized crystal structure of MgMn4H2O8, as listed in Materials Project.

```
data_MgMn4H2O8
_cell_length_a 5.142
_cell_length_b 3.044
_cell_length_c 9.930
_cell_angle_alpha 90.00
_cell_angle_beta 90.99
_cell_angle_gamma 90.00
_symmetry_space_group_name_H-M 'P 1 m 1'
_symmetry_Int_Tables_number 6
_symmetry_space_group_name_Hall 'P -2y'
loop_
_atom_site_label
_atom_site_type_symbol
_atom_site_fract_x
_atom_site_fract_y
_atom_site_fract_z
Mg1 Mg 0.000 0.000 0.000
Mn1 Mn 0.057 0.000 0.276
Mn2 Mn 0.438 0.000 0.752
Mn3 Mn 0.515 0.500 0.059
Mn4 Mn 0.950 0.500 0.542
H1 H 0.012 0.500 0.804
H2 H 0.432 0.500 0.393
O1 O 0.118 0.000 0.637
O2 O 0.143 0.500 0.878
O3 O 0.243 0.500 0.379
O4 O 0.318 0.000 0.133
O5 O 0.623 0.500 0.683
O6 O 0.624 0.000 0.937
O7 O 0.818 0.000 0.424
O8 O 0.884 0.500 0.146
```


Arrangement ii

First-principles (PBE with a Hubbard U) data for an optimized crystal structure of MgMn4H2O8, as listed in Materials Project.

```
data_MgMn4H2O8
_cell_length_a 5.365
_cell_length_b 2.969
_cell_length_c 10.005
_cell_angle_alpha 90.00
_cell_angle_beta 90.33
_cell_angle_gamma 90.00
_symmetry_space_group_name_H-M 'P 1 m 1'
_symmetry_Int_Tables_number 6
_symmetry_space_group_name_Hall 'P -2y'
loop_
_atom_site_label
_atom_site_type_symbol
_atom_site_fract_x
_atom_site_fract_y
_atom_site_fract_z
Mg1 Mg 0.000 0.000 0.000
Mn1 Mn 0.043 0.500 0.733
Mn2 Mn 0.165 0.000 0.460
Mn3 Mn 0.516 0.000 0.957
Mn4 Mn 0.652 0.500 0.265
H1 H 0.227 0.500 0.167
H2 H 0.512 0.500 0.564
O1 O 0.001 0.500 0.371
O2 O 0.213 0.000 0.830
O3 O 0.241 0.500 0.069
O4 O 0.329 0.500 0.565
O5 O 0.467 0.000 0.346
O6 O 0.739 0.000 0.143
O7 O 0.779 0.500 0.902
O8 O 0.926 0.000 0.618
```


Q: Which of them is the least stable? A: arrangement i.


Arrangement i

First-principles (PBE with a Hubbard U) data for an optimized crystal structure of Li6Mn3VP6O24, as listed in Materials Project.

```
data_Li6Mn3VP6O24
_cell_length_a 8.481
_cell_length_b 8.539
_cell_length_c 8.744
_cell_angle_alpha 61.30
_cell_angle_beta 62.29
_cell_angle_gamma 61.85
_symmetry_space_group_name_H-M 'P 1'
_symmetry_Int_Tables_number 1
_symmetry_space_group_name_Hall 'P 1'
loop_
_atom_site_label
_atom_site_type_symbol
_atom_site_fract_x
_atom_site_fract_y
_atom_site_fract_z
Li1 Li 0.000 0.000 0.000
Li2 Li 0.083 0.504 0.890
Li3 Li 0.363 0.145 0.724
Li4 Li 0.501 0.883 0.104
Li5 Li 0.689 0.327 0.486
Li6 Li 0.851 0.655 0.270
Mn1 Mn 0.200 0.021 0.607
Mn2 Mn 0.701 0.510 0.100
Mn3 Mn 0.985 0.806 0.392
V1 V 0.489 0.308 0.893
P1 P 0.090 0.201 0.202
P2 P 0.301 0.707 0.000
P3 P 0.382 0.629 0.501
P4 P 0.592 0.112 0.300
P5 P 0.804 0.914 0.799
P6 P 0.903 0.412 0.693
O1 O 0.046 0.040 0.209
O2 O 0.091 0.243 0.680
O3 O 0.107 0.719 0.147
O4 O 0.128 0.157 0.372
O5 O 0.224 0.664 0.437
O6 O 0.247 0.239 0.015
O7 O 0.283 0.905 0.851
O8 O 0.335 0.783 0.572
O9 O 0.350 0.551 0.929
O10 O 0.408 0.429 0.654
O11 O 0.439 0.089 0.487
O12 O 0.459 0.670 0.069
O13 O 0.534 0.149 0.141
O14 O 0.574 0.618 0.345
O15 O 0.604 0.067 0.831
O16 O 0.648 0.276 0.273
O17 O 0.737 0.355 0.731
O18 O 0.766 0.927 0.301
O19 O 0.785 0.739 0.980
O20 O 0.848 0.883 0.625
O21 O 0.884 0.463 0.849
O22 O 0.912 0.577 0.508
O23 O 0.923 0.394 0.184
O24 O 0.958 0.966 0.794
```


Arrangement ii

First-principles (PBE with a Hubbard U) data for an optimized crystal structure of Li6Mn3VP6O24, as listed in Materials Project.

```
data_Li6Mn3VP6O24
_cell_length_a 8.705
_cell_length_b 8.758
_cell_length_c 12.310
_cell_angle_alpha 90.00
_cell_angle_beta 91.27
_cell_angle_gamma 90.00
_symmetry_space_group_name_H-M 'P 1 21 1'
_symmetry_Int_Tables_number 4
_symmetry_space_group_name_Hall 'P 2yb'
loop_
_atom_site_label
_atom_site_type_symbol
_atom_site_fract_x
_atom_site_fract_y
_atom_site_fract_z
Li1 Li 0.041 0.000 0.075
Li2 Li 0.169 0.086 0.484
Li3 Li 0.172 0.696 0.551
Li4 Li 0.324 0.476 0.008
Li5 Li 0.326 0.862 0.946
Li6 Li 0.458 0.553 0.431
Mn1 Mn 0.002 0.245 0.647
Mn2 Mn 0.004 0.322 0.141
Mn3 Mn 0.494 0.239 0.359
V1 V 0.495 0.311 0.856
P1 P 0.145 0.399 0.392
P2 P 0.148 0.683 0.094
P3 P 0.211 0.529 0.753
P4 P 0.288 0.034 0.740
P5 P 0.350 0.878 0.397
P6 P 0.352 0.161 0.099
O1 O 0.049 0.279 0.454
O2 O 0.076 0.735 0.198
O3 O 0.079 0.604 0.816
O4 O 0.103 0.521 0.054
O5 O 0.103 0.567 0.428
O6 O 0.112 0.806 0.004
O7 O 0.118 0.386 0.268
O8 O 0.148 0.407 0.674
O9 O 0.170 0.890 0.392
O10 O 0.179 0.104 0.653
O11 O 0.179 0.178 0.073
O12 O 0.207 0.926 0.818
O13 O 0.293 0.645 0.681
O14 O 0.317 0.378 0.420
O15 O 0.323 0.460 0.843
O16 O 0.330 0.678 0.099
O17 O 0.360 0.163 0.817
O18 O 0.392 0.189 0.216
O19 O 0.393 0.752 0.479
O20 O 0.398 0.990 0.068
O21 O 0.401 0.037 0.439
O22 O 0.418 0.839 0.285
O23 O 0.422 0.962 0.682
O24 O 0.442 0.279 0.025
```


Q: Which of them is the least stable? A: arrangement i.


Arrangement i

First-principles (PBE with a Hubbard U) data for an optimized crystal structure of LiFeP4O12, as listed in Materials Project.

```
data_LiFeP4O12
_cell_length_a 6.846
_cell_length_b 9.171
_cell_length_c 7.195
_cell_angle_alpha 90.00
_cell_angle_beta 95.03
_cell_angle_gamma 90.00
_symmetry_space_group_name_H-M 'P 1 21 1'
_symmetry_Int_Tables_number 4
_symmetry_space_group_name_Hall 'P 2yb'
loop_
_atom_site_label
_atom_site_type_symbol
_atom_site_fract_x
_atom_site_fract_y
_atom_site_fract_z
Li1 Li 0.237 0.000 0.282
Fe1 Fe 0.230 0.714 0.745
P1 P 0.071 0.143 0.937
P2 P 0.078 0.492 0.412
P3 P 0.440 0.313 0.911
P4 P 0.470 0.607 0.406
O1 O 0.007 0.123 0.717
O2 O 0.018 0.849 0.642
O3 O 0.070 0.540 0.614
O4 O 0.112 0.691 0.977
O5 O 0.175 0.014 0.021
O6 O 0.208 0.283 0.924
O7 O 0.303 0.481 0.363
O8 O 0.341 0.041 0.526
O9 O 0.378 0.721 0.525
O10 O 0.455 0.452 0.807
O11 O 0.462 0.795 0.893
O12 O 0.484 0.674 0.203
```


Arrangement ii

First-principles (PBE with a Hubbard U) data for an optimized crystal structure of LiFeP4O12, as listed in Materials Project.

```
data_LiFeP4O12
_cell_length_a 7.441
_cell_length_b 8.857
_cell_length_c 15.459
_cell_angle_alpha 90.00
_cell_angle_beta 113.57
_cell_angle_gamma 90.00
_symmetry_space_group_name_H-M 'P 1 21/c 1'
_symmetry_Int_Tables_number 14
_symmetry_space_group_name_Hall '-P 2ybc'
loop_
_atom_site_label
_atom_site_type_symbol
_atom_site_fract_x
_atom_site_fract_y
_atom_site_fract_z
Li1 Li 0.136 0.073 0.076
Fe1 Fe 0.320 0.653 0.853
P1 P 0.098 0.039 0.808
P2 P 0.225 0.730 0.042
P3 P 0.354 0.548 0.217
P4 P 0.367 0.222 0.430
O1 O 0.095 0.622 0.733
O2 O 0.096 0.621 0.337
O3 O 0.097 0.634 0.532
O4 O 0.197 0.640 0.955
O5 O 0.200 0.622 0.120
O6 O 0.206 0.066 0.737
O7 O 0.234 0.129 0.903
O8 O 0.269 0.091 0.369
O9 O 0.431 0.662 0.295
O10 O 0.434 0.208 0.536
O11 O 0.450 0.716 0.592
O12 O 0.499 0.545 0.801
```


Q: Which of them is the least stable? A: arrangement ii.


Arrangement i

First-principles (PBE with a Hubbard U) data for an optimized crystal structure of MgMn2O4, as listed in Materials Project.

```
data_MgMn2O4
_cell_length_a 3.044
_cell_length_b 5.342
_cell_length_c 5.685
_cell_angle_alpha 98.02
_cell_angle_beta 100.56
_cell_angle_gamma 91.69
_symmetry_space_group_name_H-M 'P 1'
_symmetry_Int_Tables_number 1
_symmetry_space_group_name_Hall 'P 1'
loop_
_atom_site_label
_atom_site_type_symbol
_atom_site_fract_x
_atom_site_fract_y
_atom_site_fract_z
Mg1 Mg 0.000 0.000 0.000
Mn1 Mn 0.310 0.087 0.467
Mn2 Mn 0.741 0.578 0.399
O1 O 0.184 0.743 0.246
O2 O 0.300 0.445 0.573
O3 O 0.579 0.173 0.192
O4 O 0.905 0.966 0.654
```


Arrangement ii

First-principles (PBE with a Hubbard U) data for an optimized crystal structure of MgMn2O4, as listed in Materials Project.

```
data_MgMn2O4
_cell_length_a 3.108
_cell_length_b 9.342
_cell_length_c 5.271
_cell_angle_alpha 90.00
_cell_angle_beta 106.96
_cell_angle_gamma 90.00
_symmetry_space_group_name_H-M 'P 1 21 1'
_symmetry_Int_Tables_number 4
_symmetry_space_group_name_Hall 'P 2yb'
loop_
_atom_site_label
_atom_site_type_symbol
_atom_site_fract_x
_atom_site_fract_y
_atom_site_fract_z
Mg1 Mg 0.090 0.000 0.186
Mn1 Mn 0.261 0.178 0.727
Mn2 Mn 0.464 0.820 0.726
O1 O 0.001 0.248 0.001
O2 O 0.094 0.364 0.549
O3 O 0.454 0.634 0.549
O4 O 0.460 0.999 0.921
```


Q: Which of them is the least stable? A: arrangement i.


Arrangement i

First-principles (PBE with a Hubbard U) data for an optimized crystal structure of MgMn2O4, as listed in Materials Project.

```
data_MgMn2O4
_cell_length_a 5.323
_cell_length_b 2.877
_cell_length_c 5.616
_cell_angle_alpha 90.00
_cell_angle_beta 93.69
_cell_angle_gamma 90.00
_symmetry_space_group_name_H-M 'P 1 2/m 1'
_symmetry_Int_Tables_number 10
_symmetry_space_group_name_Hall '-P 2y'
loop_
_atom_site_label
_atom_site_type_symbol
_atom_site_fract_x
_atom_site_fract_y
_atom_site_fract_z
Mg1 Mg 0.000 0.000 0.000
Mn1 Mn 0.000 0.500 0.500
Mn2 Mn 0.500 0.000 0.000
O1 O 0.158 0.000 0.685
O2 O 0.281 0.500 0.109
```


Arrangement ii

First-principles (PBE with a Hubbard U) data for an optimized crystal structure of MgMn2O4, as listed in Materials Project.

```
data_MgMn2O4
_cell_length_a 6.027
_cell_length_b 5.151
_cell_length_c 11.769
_cell_angle_alpha 90.00
_cell_angle_beta 119.07
_cell_angle_gamma 90.00
_symmetry_space_group_name_H-M 'P 1 2/c 1'
_symmetry_Int_Tables_number 13
_symmetry_space_group_name_Hall '-P 2yc'
loop_
_atom_site_label
_atom_site_type_symbol
_atom_site_fract_x
_atom_site_fract_y
_atom_site_fract_z
Mg1 Mg 0.000 0.011 0.250
Mg2 Mg 0.500 0.351 0.250
Mn1 Mn 0.000 0.500 0.000
Mn2 Mn 0.265 0.012 0.516
Mn3 Mn 0.500 0.500 0.000
O1 O 0.135 0.182 0.119
O2 O 0.149 0.266 0.897
O3 O 0.343 0.358 0.602
O4 O 0.372 0.191 0.388
```


Q: Which of them is the least stable? A: arrangement i.